[1]
The following is a PBE with a Hubbard U calculation of a relaxed MnMoO4 crystal, from Materials Project.

Properties
The calculation puts the MP2020-corrected energy at -8.68 eV per atom.

Cell: 4.7951 5.0343 5.8084 Å, 89.97 89.96 90.56°
Element x y z (fractional)
1 O 0.2428 0.0966 0.8715
2 O 0.7550 0.8928 0.1205
3 O 0.7101 0.4380 0.3942
4 O 0.2901 0.0621 0.3942
5 O 0.2811 0.5627 0.6072
6 O 0.2450 0.6072 0.1211
7 O 0.7183 0.9373 0.6080
8 O 0.7561 0.4044 0.8704
9 Mo 0.5003 0.7499 0.3203
10 Mo 0.4998 0.2495 0.6809
11 Mn 0.0012 0.7494 0.8341
12 Mn 0.0001 0.2501 0.1777

[2]
The following is a PBE with a Hubbard U calculation of a relaxed MnMoO4 crystal, from Materials Project.

Properties
The calculation puts the MP2020-corrected energy at -8.70 eV per atom.

Cell: 7.2139 7.2139 7.2826 Å, 78.07 78.07 84.46°
Element x y z (fractional)
1 Mo 0.2703 0.2703 0.5940
2 Mo 0.7297 0.7297 0.4060
3 Mo 0.7491 0.2509 0.0000
4 Mo 0.2509 0.7491 0.0000
5 Mn 0.8167 0.1833 0.5000
6 Mn 0.1833 0.8167 0.5000
7 Mn 0.7948 0.7948 0.8623
8 Mn 0.2052 0.2052 0.1377
9 O 0.7984 0.7984 0.1523
10 O 0.8043 0.1114 0.8090
11 O 0.1114 0.8043 0.8090
12 O 0.7870 0.4837 0.4706
13 O 0.2130 0.5163 0.5294
14 O 0.2170 0.5076 0.1063
15 O 0.4837 0.7870 0.4706
16 O 0.5163 0.2130 0.5294
17 O 0.4924 0.7830 0.8937
18 O 0.8579 0.8579 0.5374
19 O 0.8886 0.1957 0.1910
20 O 0.7830 0.4924 0.8937
21 O 0.1421 0.1421 0.4626
22 O 0.1957 0.8886 0.1910
23 O 0.2016 0.2016 0.8477
24 O 0.5076 0.2170 0.1063

[3]
The following is a PBE with a Hubbard U calculation of a relaxed Rb2Mn2Mo3O12 crystal, from Materials Project.

Properties
The calculation puts the MP2020-corrected energy at -7.89 eV per atom.

Cell: 11.2114 11.2114 11.2114 Å, 90.00 90.00 90.00°
Element x y z (fractional)
1 O 0.5551 0.2074 0.2286
2 O 0.3967 0.6746 0.7452
3 O 0.0500 0.8297 0.9811
4 O 0.9500 0.3297 0.5189
5 O 0.4500 0.1703 0.4811
6 O 0.2452 0.1033 0.3254
7 O 0.2763 0.9802 0.5490
8 O 0.1746 0.7548 0.6033
9 O 0.9449 0.7926 0.7286
10 O 0.5198 0.4510 0.7763
11 O 0.1033 0.3254 0.2452
12 O 0.8254 0.2548 0.8967
13 O 0.7763 0.5198 0.4510
14 O 0.2548 0.8967 0.8254
15 O 0.4802 0.9510 0.7237
16 O 0.7548 0.6033 0.1746
17 O 0.5490 0.2763 0.9802
18 O 0.7074 0.2714 0.4449
19 O 0.2714 0.4449 0.7074
20 O 0.3254 0.2452 0.1033
21 O 0.3297 0.5189 0.9500
22 O 0.1703 0.4811 0.4500
23 O 0.9811 0.0500 0.8297
24 O 0.0490 0.2237 0.0198
25 O 0.0189 0.5500 0.6703
26 O 0.6033 0.1746 0.7548
27 O 0.9510 0.7237 0.4802
28 O 0.4811 0.4500 0.1703
29 O 0.0551 0.2926 0.7714
30 O 0.0198 0.0490 0.2237
31 O 0.7926 0.7286 0.9449
32 O 0.5500 0.6703 0.0189
33 O 0.2926 0.7714 0.0551
34 O 0.7286 0.9449 0.7926
35 O 0.8967 0.8254 0.2548
36 O 0.2237 0.0198 0.0490
37 O 0.6703 0.0189 0.5500
38 O 0.9802 0.5490 0.2763
39 O 0.7714 0.0551 0.2926
40 O 0.2074 0.2286 0.5551
41 O 0.5189 0.9500 0.3297
42 O 0.7237 0.4802 0.9510
43 O 0.4449 0.7074 0.2714
44 O 0.7452 0.3967 0.6746
45 O 0.6746 0.7452 0.3967
46 O 0.4510 0.7763 0.5198
47 O 0.8297 0.9811 0.0500
48 O 0.2286 0.5551 0.2074
49 Rb 0.1806 0.8194 0.3194
50 Rb 0.9529 0.0471 0.5471
51 Rb 0.5471 0.9529 0.0471
52 Rb 0.0471 0.5471 0.9529
53 Rb 0.6806 0.6806 0.6806
54 Rb 0.8194 0.3194 0.1806
55 Rb 0.4529 0.4529 0.4529
56 Rb 0.3194 0.1806 0.8194
57 Mo 0.7966 0.3791 0.5244
58 Mo 0.5244 0.7966 0.3791
59 Mo 0.3791 0.5244 0.7966
60 Mo 0.8791 0.9756 0.2034
61 Mo 0.7034 0.6209 0.0244
62 Mo 0.4756 0.2966 0.1209
63 Mo 0.2034 0.8791 0.9756
64 Mo 0.6209 0.0244 0.7034
65 Mo 0.2966 0.1209 0.4756
66 Mo 0.1209 0.4756 0.2966
67 Mo 0.9756 0.2034 0.8791
68 Mo 0.0244 0.7034 0.6209
69 Mn 0.3371 0.8371 0.6629
70 Mn 0.8371 0.6629 0.3371
71 Mn 0.1629 0.1629 0.1629
72 Mn 0.6114 0.1114 0.3886
73 Mn 0.3886 0.6114 0.1114
74 Mn 0.6629 0.3371 0.8371
75 Mn 0.8886 0.8886 0.8886
76 Mn 0.1114 0.3886 0.6114

[4]
The following is a PBE with a Hubbard U calculation of a relaxed Rb4MnMo3O12 crystal, from Materials Project.

Properties
The calculation puts the MP2020-corrected energy at -7.42 eV per atom.

Cell: 6.2226 6.2226 24.2245 Å, 90.00 90.00 120.00°
Element x y z (fractional)
1 Rb 0.6667 0.3333 0.5257
2 Rb 0.6667 0.3333 0.1575
3 Rb 0.3333 0.6667 0.0257
4 Rb 0.6667 0.3333 0.3454
5 Rb 0.3333 0.6667 0.8454
6 Rb 0.3333 0.6667 0.4706
7 Rb 0.6667 0.3333 0.9706
8 Rb 0.3333 0.6667 0.6575
9 O 0.6192 0.6835 0.2487
10 O 0.3106 0.1279 0.4351
11 O 0.0000 0.0000 0.3344
12 O 0.3808 0.0643 0.7487
13 O 0.8173 0.6894 0.4351
14 O 0.6667 0.3333 0.8450
15 O 0.0000 0.0000 0.1652
16 O 0.0000 0.0000 0.6652
17 O 0.1279 0.3106 0.9351
18 O 0.8738 0.1864 0.0661
19 O 0.6874 0.8136 0.5661
20 O 0.1262 0.3126 0.5661
21 O 0.6835 0.6192 0.7487
22 O 0.3165 0.9357 0.2487
23 O 0.3126 0.1262 0.0661
24 O 0.6894 0.8173 0.9351
25 O 0.1864 0.8738 0.5661
26 O 0.1827 0.8721 0.9351
27 O 0.0000 0.0000 0.8344
28 O 0.8721 0.1827 0.4351
29 O 0.9357 0.3165 0.7487
30 O 0.8136 0.6874 0.0661
31 O 0.0643 0.3808 0.2487
32 O 0.3333 0.6667 0.3450
33 Mo 0.3333 0.6667 0.2723
34 Mo 0.0000 0.0000 0.5900
35 Mo 0.0000 0.0000 0.0900
36 Mo 0.0000 0.0000 0.9100
37 Mo 0.0000 0.0000 0.4100
38 Mo 0.6667 0.3333 0.7723
39 Mn 0.0000 0.0000 0.2499
40 Mn 0.0000 0.0000 0.7499

[5]
The following is a PBE with a Hubbard U calculation of a relaxed Sr2MnMoO6 crystal, from Materials Project.

Properties
The calculation puts the MP2020-corrected energy at -7.96 eV per atom.

Cell: 5.7334 8.0985 5.7626 Å, 90.00 90.00 90.13°
Element x y z (fractional)
1 O 0.2007 0.0371 0.7702
2 O 0.7993 0.9629 0.2298
3 O 0.9317 0.2361 0.4846
4 O 0.2684 0.0348 0.2964
5 O 0.0683 0.7639 0.5154
6 O 0.7008 0.5371 0.7298
7 O 0.2992 0.4629 0.2702
8 O 0.2315 0.4652 0.7963
9 O 0.5683 0.2640 0.9847
10 O 0.7685 0.5348 0.2037
11 O 0.4317 0.7360 0.0153
12 O 0.7316 0.9652 0.7036
13 Sr 0.0056 0.2505 0.0311
14 Sr 0.4944 0.2495 0.5311
15 Sr 0.5056 0.7505 0.4689
16 Sr 0.9944 0.7495 0.9689
17 Mo 0.5000 0.5000 0.0000
18 Mo 0.0000 0.0000 0.5000
19 Mn 0.0000 0.5000 0.5000
20 Mn 0.5000 0.0000 0.0000

[6]
The following is a PBE with a Hubbard U calculation of a relaxed Sr2MnMoO6 crystal, from Materials Project.

Properties
The calculation puts the MP2020-corrected energy at -7.92 eV per atom.

Cell: 5.5968 5.6993 9.8292 Å, 89.22 73.24 60.70°
Element x y z (fractional)
1 O 0.2544 0.1146 0.3746
2 O 0.7134 0.6033 0.3975
3 O 0.2658 0.6123 0.8715
4 O 0.6910 0.1005 0.8944
5 O 0.7461 0.8681 0.6220
6 O 0.2748 0.3993 0.5982
7 O 0.2228 0.6466 0.3537
8 O 0.7785 0.3454 0.6383
9 O 0.2039 0.1599 0.8407
10 O 0.7440 0.3996 0.1351
11 O 0.3190 0.8944 0.1103
12 O 0.7901 0.8529 0.1666
13 Sr 0.2536 0.3816 0.1230
14 Sr 0.7444 0.1301 0.3863
15 Sr 0.2483 0.8667 0.6247
16 Sr 0.7523 0.6241 0.8624
17 Mn 0.9990 0.0002 0.9998
18 Mn 0.9986 0.5003 0.5001
19 Mo 0.5029 0.7542 0.2517
20 Mo 0.4971 0.2461 0.7491